# HoGa3, optimized geometry, DFT PBE-GGA
data_HoGa3
_chemical_formula_sum 'Ho6 Ga18'
_space_group_name_H-M_alt 'P 63/m m c'
_space_group_IT_number 194
_space_group_name_Hall '-P 6c 2c'
_cell_length_a 6.1583
_cell_length_b 6.1583
_cell_length_c 14.2202
_cell_angle_alpha 90.00
_cell_angle_beta 90.00
_cell_angle_gamma 120.00
loop_
_atom_site_label
_atom_site_type_symbol
_atom_site_fract_x
_atom_site_fract_y
_atom_site_fract_z
Ho1 Ho 0.0000 0.0000 0.2500
Ho2 Ho 0.3333 0.6667 0.0916
Ga1 Ga 0.0398 0.5199 0.7500
Ga2 Ga 0.1665 0.3330 0.5816
# E_form = -519.5 meV per atom
# E = -3.936 eV per atom

=====

# MgMoW2Se4S2, optimized geometry, DFT PBE-GGA
data_MgMoW2Se4S2
_chemical_formula_sum 'Mg1 Mo1 W2 Se4 S2'
_space_group_name_H-M_alt 'P 3 m 1'
_space_group_IT_number 156
_space_group_name_Hall 'P 3 -2"'
_cell_length_a 3.2849
_cell_length_b 3.2849
_cell_length_c 37.3143
_cell_angle_alpha 90.00
_cell_angle_beta 90.00
_cell_angle_gamma 120.00
loop_
_atom_site_label
_atom_site_type_symbol
_atom_site_fract_x
_atom_site_fract_y
_atom_site_fract_z
Mg1 Mg 0.0000 0.0000 0.0000
Mo1 Mo 0.6667 0.3333 0.1126
W1 W 0.3333 0.6667 0.3373
W2 W 0.3333 0.6667 0.8657
Se1 Se 0.6667 0.3333 0.2918
Se2 Se 0.6667 0.3333 0.3828
Se3 Se 0.6667 0.3333 0.8203
Se4 Se 0.6667 0.3333 0.9114
S1 S 0.3333 0.6667 0.0714
S2 S 0.3333 0.6667 0.1534
# Magnetization = 0.00 μB/f.u.
# E_form = -642.3 meV per atom
# E = -6.604 eV per atom

=====

# K16Zr12Se61, optimized geometry, DFT PBE-GGA
data_K16Zr12Se61
_chemical_formula_sum 'K16 Zr12 Se61'
_space_group_name_H-M_alt 'P 1'
_space_group_IT_number 1
_space_group_name_Hall 'P 1'
_cell_length_a 12.7815
_cell_length_b 15.1043
_cell_length_c 15.5320
_cell_angle_alpha 73.72
_cell_angle_beta 76.89
_cell_angle_gamma 71.36
loop_
_atom_site_label
_atom_site_type_symbol
_atom_site_fract_x
_atom_site_fract_y
_atom_site_fract_z
K1 K 0.0000 0.0000 0.0000
K2 K 0.0165 0.5670 0.1903
K3 K 0.1810 0.6434 0.4885
K4 K 0.1987 0.2085 0.6809
K5 K 0.2268 0.2726 0.0201
K6 K 0.3162 0.8044 0.1958
K7 K 0.3859 0.8525 0.5151
K8 K 0.4633 0.4702 0.6874
K9 K 0.4885 0.4926 0.9931
K10 K 0.5924 0.0756 0.1652
K11 K 0.6037 0.1344 0.5160
K12 K 0.7301 0.7194 0.6872
K13 K 0.7537 0.7411 0.9790
K14 K 0.8122 0.3577 0.1663
K15 K 0.8811 0.4056 0.4834
K16 K 0.9708 0.9375 0.6608
Zr1 Zr 0.0038 0.5295 0.8276
Zr2 Zr 0.1799 0.6803 0.8539
Zr3 Zr 0.2153 0.1736 0.3364
Zr4 Zr 0.3424 0.8543 0.8375
Zr5 Zr 0.3554 0.3618 0.3348
Zr6 Zr 0.4818 0.0374 0.8393
Zr7 Zr 0.5222 0.5213 0.3375
Zr8 Zr 0.6747 0.6883 0.3438
Zr9 Zr 0.7153 0.1707 0.8415
Zr10 Zr 0.8416 0.8473 0.3462
Zr11 Zr 0.8520 0.3539 0.8443
Zr12 Zr 0.9814 0.0347 0.3467
Se1 Se 0.0046 0.9079 0.2229
Se2 Se 0.0451 0.1139 0.4637
Se3 Se 0.0453 0.7339 0.2897
Se4 Se 0.0493 0.3293 0.2719
Se5 Se 0.0658 0.7600 0.9995
Se6 Se 0.0727 0.3204 0.8516
Se7 Se 0.1193 0.4634 0.6753
Se8 Se 0.1207 0.8857 0.8284
Se9 Se 0.1473 0.8794 0.4113
Se10 Se 0.1507 0.0949 0.2192
Se11 Se 0.1519 0.4752 0.3914
Se12 Se 0.1924 0.3015 0.4592
Se13 Se 0.2246 0.4916 0.8367
Se14 Se 0.2273 0.5125 0.9829
Se15 Se 0.2299 0.9705 0.6983
Se16 Se 0.2317 0.7207 0.6685
Se17 Se 0.2399 0.3343 0.2095
Se18 Se 0.2586 0.0345 0.8806
Se19 Se 0.2658 0.7255 0.9866
Se20 Se 0.3109 0.0942 0.4933
Se21 Se 0.3267 0.0116 0.2717
Se22 Se 0.3449 0.0321 0.0051
Se23 Se 0.3522 0.5525 0.2411
Se24 Se 0.3801 0.6998 0.7507
Se25 Se 0.3858 0.2318 0.7915
Se26 Se 0.3866 0.4279 0.4792
Se27 Se 0.4274 0.1634 0.3598
Se28 Se 0.4556 0.6837 0.3871
Se29 Se 0.4698 0.8505 0.9590
Se30 Se 0.4913 0.9514 0.7052
Se31 Se 0.5116 0.3059 0.1945
Se32 Se 0.5297 0.2869 0.9231
Se33 Se 0.5295 0.7142 0.8843
Se34 Se 0.5306 0.5708 0.1582
Se35 Se 0.5763 0.1811 0.7235
Se36 Se 0.5833 0.3258 0.3196
Se37 Se 0.5845 0.3811 0.4873
Se38 Se 0.6132 0.8280 0.1936
Se39 Se 0.6139 0.8836 0.3604
Se40 Se 0.6213 0.0278 0.9572
Se41 Se 0.6661 0.6411 0.5237
Se42 Se 0.6677 0.9231 0.7558
Se43 Se 0.6704 0.4978 0.7920
Se44 Se 0.6851 0.9044 0.4860
Se45 Se 0.7050 0.2579 0.9755
Se46 Se 0.7300 0.3582 0.7202
Se47 Se 0.7417 0.5260 0.2940
Se48 Se 0.7694 0.0453 0.3227
Se49 Se 0.8108 0.7815 0.2018
Se50 Se 0.8124 0.9771 0.8895
Se51 Se 0.8130 0.5022 0.9385
Se52 Se 0.8451 0.6570 0.4401
Se53 Se 0.8512 0.1780 0.6751
Se54 Se 0.8696 0.1974 0.4101
Se55 Se 0.8869 0.1146 0.1895
Se56 Se 0.9168 0.4965 0.6975
Se57 Se 0.9378 0.1744 0.7995
Se58 Se 0.9569 0.8730 0.4737
Se59 Se 0.9681 0.2363 0.9821
Se60 Se 0.9703 0.7122 0.8001
Se61 Se 0.9721 0.4895 0.0092
# Magnetization = 0.00 μB/f.u.
# E_form = -1281.7 meV per atom
# E = -4.706 eV per atom